Entry 1:
Compound: PrTlCd
Source: Materials Project
Functional: PBE
Structure: optimized geometry

```
PrTlCd
1.0
0.059 5.056 0.066
-0.073 -2.470 -4.412
-7.633 0.088 0.077
Cd Tl Pr
2 2 2
direct
0.667 0.333 0.750
0.333 0.667 0.250
0.667 0.333 0.250
0.333 0.667 0.750
0.000 0.000 0.000
0.000 0.000 0.500
```

Calculated values
Space group: P6_3/mmc
Crystal system: hexagonal
Formation enthalpy at 0 K: -0.338 eV/atom
E: -3.027 eV per atom
Theoretical density: 8.99 Mg/m³
Volume: 169.1 Å³ per cell

=====

Entry 2:
Compound: Li2Mg
Source: Materials Project
Functional: PBE
Structure: optimized geometry

```
Li2Mg
1.0
2.522 -1.086 4.525
3.953 -3.519 -0.076
5.704 1.891 0.773
Li Mg
4 2
direct
0.750 0.580 0.752
0.420 0.250 0.748
0.580 0.750 0.252
0.250 0.420 0.248
0.913 0.087 0.250
0.087 0.913 0.750
```

Calculated values
Space group: C2/c
Crystal system: monoclinic
Formation enthalpy at 0 K: -0.030 eV/atom
E: -1.836 eV per atom
Theoretical density: 1.04 Mg/m³
Volume: 122.0 Å³ per cell

=====

Entry 3:
Compound: MgNb2P2O10
Source: Materials Project
Functional: PBE
Structure: optimized geometry

```
MgNb2P2O10
1.0
-3.369 -2.635 1.169
2.793 -4.826 -3.708
3.748 -2.128 5.125
O P Mg Nb
10 2 1 2
direct
0.680 0.244 0.557
0.320 0.756 0.443
0.720 0.935 0.236
0.202 0.206 0.206
0.680 0.557 0.244
0.280 0.764 0.065
0.280 0.065 0.764
0.720 0.236 0.935
0.320 0.443 0.756
0.798 0.794 0.794
0.500 0.748 0.252
0.500 0.252 0.748
0.000 0.000 0.000
0.601 0.250 0.250
0.399 0.750 0.750
```

Calculated values
Space group: C2/m
ΔE to the lowest computed polymorph: 0 meV/atom
Crystal system: monoclinic
Formation enthalpy at 0 K: -2.786 eV/atom
E: -7.802 eV per atom
Theoretical density: 3.62 Mg/m³
Volume: 198.4 Å³ per cell

=====

Entry 4:
Compound: K6ReN4
Source: Materials Project
Functional: PBE
Structure: optimized geometry

```
K6ReN4
1.0
8.492 0.000 0.000
0.000 8.492 0.000
0.000 0.000 6.968
N K Re
8 12 2
direct
0.000 0.182 0.850
0.318 0.500 0.350
0.818 0.000 0.150
0.682 0.500 0.350
0.182 0.000 0.150
0.500 0.318 0.650
0.000 0.818 0.850
0.500 0.682 0.650
0.290 0.710 0.000
0.290 0.290 0.000
0.000 0.500 0.240
0.710 0.290 0.000
0.210 0.790 0.500
0.000 0.500 0.740
0.500 0.000 0.760
0.710 0.710 0.000
0.790 0.790 0.500
0.500 0.000 0.260
0.210 0.210 0.500
0.790 0.210 0.500
0.000 0.000 0.000
0.500 0.500 0.500
```

Calculated values
Space group: P4_2/nmc
Crystal system: tetragonal
Formation enthalpy at 0 K: -0.155 eV/atom
E: -4.792 eV per atom
Theoretical density: 3.15 Mg/m³
Volume: 502.5 Å³ per cell

=====

Entry 5:
Compound: Ho3P6Pd20
Source: Materials Project
Functional: PBE
Structure: optimized geometry

```
Ho3P6Pd20
1.0
7.829 0.865 3.638
1.282 5.964 6.170
1.259 -2.466 8.223
Pd Ho P
20 3 6
direct
0.345 0.655 0.000
0.000 0.345 0.655
0.345 0.000 0.000
0.616 0.616 0.152
0.848 0.384 0.384
0.655 0.000 0.345
0.000 0.000 0.655
0.616 0.616 0.616
0.152 0.616 0.616
0.384 0.384 0.384
0.000 0.655 0.345
0.000 0.000 0.345
0.000 0.345 0.000
0.384 0.848 0.384
0.384 0.384 0.848
0.345 0.000 0.655
0.655 0.345 0.000
0.000 0.655 0.000
0.616 0.152 0.616
0.655 0.000 0.000
0.750 0.750 0.750
0.000 0.000 0.000
0.250 0.250 0.250
0.264 0.264 0.736
0.736 0.736 0.264
0.736 0.264 0.736
0.264 0.736 0.264
0.264 0.736 0.736
0.736 0.264 0.264
```

Calculated values
Space group: Fm-3m
Crystal system: cubic
Formation enthalpy at 0 K: -0.733 eV/atom
E: -5.899 eV per atom
Theoretical density: 10.10 Mg/m³
Volume: 461.8 Å³ per cell

=====

Entry 6:
Compound: UO2
Source: Materials Project
Functional: PBE
Structure: optimized geometry

```
UO2
1.0
-0.022 -3.715 -0.944
-2.178 -2.464 1.968
-3.104 -1.544 -1.636
O U
2 1
direct
0.250 0.250 0.250
0.750 0.750 0.750
0.500 0.500 0.500
```

Calculated values
Space group: Fm-3m
Crystal system: cubic
Formation enthalpy at 0 K: -3.750 eV/atom
E: -10.355 eV per atom
Theoretical density: 11.26 Mg/m³
Volume: 39.8 Å³ per cell

=====

Entry 7:
Compound: MnFeSi2
Source: Materials Project
Functional: PBE
Structure: optimized geometry

```
MnFeSi2
1.0
-0.646 -4.081 1.748
4.428 -0.692 0.019
0.270 1.727 4.133
Si Mn Fe
4 2 2
direct
0.843 0.161 0.907
0.657 0.653 0.594
0.343 0.839 0.093
0.157 0.347 0.406
0.137 0.866 0.611
0.637 0.134 0.389
0.364 0.361 0.886
0.864 0.639 0.114
```

Calculated values
Space group: P2_1
Crystal system: monoclinic
Formation enthalpy at 0 K: -0.444 eV/atom
E: -7.600 eV per atom
Theoretical density: 6.15 Mg/m³
Volume: 90.2 Å³ per cell

=====

Entry 8:
Compound: PbAu2
Source: Materials Project
Functional: PBE
Structure: optimized geometry

```
PbAu2
1.0
-4.069 -4.069 0.000
-4.069 0.000 -4.069
0.000 -4.069 -4.069
Pb Au
2 4
direct
0.250 0.250 0.250
0.500 0.500 0.500
0.875 0.375 0.875
0.875 0.875 0.875
0.375 0.875 0.875
0.875 0.875 0.375
```

Calculated values
Space group: Fd-3m
Crystal system: cubic
Formation enthalpy at 0 K: -0.071 eV/atom
E: -3.492 eV per atom
Theoretical density: 14.82 Mg/m³
Volume: 134.7 Å³ per cell

=====

Entry 9:
Compound: Cs2ScInF6
Source: Materials Project
Functional: PBE
Structure: optimized geometry

```
Cs2ScInF6
1.0
1.128 -3.489 5.611
-4.567 -4.390 2.192
1.243 -6.578 -0.337
F In Sc Cs
6 1 1 2
direct
0.784 0.216 0.216
0.216 0.784 0.784
0.216 0.216 0.784
0.784 0.784 0.216
0.784 0.216 0.784
0.216 0.784 0.216
0.500 0.500 0.500
0.000 0.000 0.000
0.750 0.750 0.750
0.250 0.250 0.250
```

Calculated values
Space group: Fm-3m
Crystal system: cubic
Formation enthalpy at 0 K: -3.317 eV/atom
E: -5.276 eV per atom
Theoretical density: 4.21 Mg/m³
Volume: 213.0 Å³ per cell

=====

Entry 10:
Compound: Mg6MnZn
Source: Materials Project
Functional: PBE
Structure: optimized geometry

```
Mg6MnZn
1.0
-4.559 1.848 0.111
-2.319 -5.688 -0.551
-0.137 -0.974 10.621
Mg Zn Mn
12 2 2
direct
0.000 0.751 0.583
0.500 0.248 0.914
0.500 0.000 0.169
0.500 0.252 0.414
0.500 0.500 0.170
0.500 0.752 0.914
0.500 0.748 0.414
0.000 0.749 0.083
0.000 0.251 0.083
0.500 0.500 0.669
0.500 0.000 0.670
0.000 0.249 0.583
0.000 0.500 0.833
0.000 0.000 0.333
0.000 0.000 0.833
0.000 0.500 0.333
```

Calculated values
ΔE to the lowest computed polymorph: 3 meV/atom
Formation enthalpy at 0 K: 0.089 eV/atom
E: -2.414 eV per atom
Theoretical density: 2.73 Mg/m³
Volume: 323.7 Å³ per cell

=====

Entry 11:
Compound: LiSiBiO4
Source: Materials Project
Functional: PBE
Structure: optimized geometry

```
LiSiBiO4
1.0
-5.626 0.109 -3.066
-2.691 -0.236 4.930
-2.166 10.081 4.334
O Bi Li Si
16 4 4 4
direct
0.433 0.219 0.556
0.364 0.224 0.278
0.160 0.770 0.753
0.664 0.172 0.029
0.136 0.224 0.778
0.660 0.230 0.747
0.933 0.781 0.944
0.567 0.781 0.444
0.840 0.230 0.247
0.336 0.828 0.971
0.340 0.770 0.253
0.636 0.776 0.722
0.864 0.776 0.222
0.836 0.172 0.529
0.067 0.219 0.056
0.164 0.828 0.471
0.614 0.444 0.349
0.886 0.444 0.849
0.386 0.556 0.651
0.114 0.556 0.151
0.635 0.926 0.928
0.865 0.926 0.428
0.365 0.074 0.072
0.135 0.074 0.572
0.151 0.908 0.860
0.849 0.092 0.140
0.651 0.092 0.640
0.349 0.908 0.360
```

Calculated values
Space group: P2_1/c
ΔE to the lowest computed polymorph: 7 meV/atom
Crystal system: monoclinic
Formation enthalpy at 0 K: -2.518 eV/atom
E: -6.557 eV per atom
Theoretical density: 5.53 Mg/m³
Volume: 370.3 Å³ per cell

=====

Entry 12:
Compound: TeBr2
Source: Materials Project
Functional: PBE
Structure: optimized geometry

```
TeBr2
1.0
8.620 0.000 0.000
0.000 8.620 0.000
0.000 0.000 3.935
Br Te
4 2
direct
0.337 0.337 0.000
0.163 0.837 0.500
0.837 0.163 0.500
0.663 0.663 0.000
0.000 0.000 0.000
0.500 0.500 0.500
```

Calculated values
Space group: P4_2/mnm
Crystal system: tetragonal
Formation enthalpy at 0 K: -0.542 eV/atom
E: -2.325 eV per atom
Theoretical density: 3.26 Mg/m³
Volume: 292.4 Å³ per cell

=====

Entry 13:
Compound: Mo15Se19
Source: Materials Project
Functional: PBE
Structure: optimized geometry

```
Mo15Se19
1.0
11.132 -6.238 -6.212
11.611 -7.160 3.919
-1.728 -11.973 -1.007
Se Mo
38 30
direct
0.565 0.180 0.000
0.168 0.362 0.410
0.865 0.850 0.405
0.875 0.372 0.802
0.628 0.125 0.698
0.670 0.418 0.051
0.323 0.513 0.694
0.973 0.027 0.750
0.135 0.150 0.595
0.029 0.132 0.415
0.841 0.498 0.035
0.582 0.330 0.449
0.132 0.029 0.915
0.125 0.628 0.198
0.372 0.875 0.302
0.159 0.502 0.965
0.418 0.670 0.551
0.944 0.602 0.775
0.180 0.565 0.500
0.850 0.865 0.905
0.513 0.323 0.194
0.362 0.168 0.910
0.971 0.868 0.585
0.498 0.841 0.535
0.602 0.944 0.275
0.027 0.973 0.250
0.150 0.135 0.095
0.832 0.638 0.590
0.677 0.487 0.306
0.502 0.159 0.465
0.056 0.398 0.225
0.638 0.832 0.090
0.487 0.677 0.806
0.868 0.971 0.085
0.398 0.056 0.725
0.435 0.820 0.000
0.820 0.435 0.500
0.330 0.582 0.949
0.656 0.403 0.539
0.403 0.656 0.039
0.701 0.583 0.651
0.125 0.855 0.068
0.301 0.804 0.206
0.323 0.959 0.717
0.263 0.932 0.518
0.875 0.145 0.932
0.699 0.196 0.794
0.299 0.417 0.349
0.344 0.597 0.461
0.508 0.492 0.250
0.196 0.699 0.294
0.819 0.229 0.323
0.583 0.701 0.151
0.145 0.875 0.432
0.181 0.771 0.677
0.492 0.508 0.750
0.804 0.301 0.706
0.677 0.041 0.283
0.417 0.299 0.849
0.229 0.819 0.823
0.597 0.344 0.961
0.959 0.323 0.217
0.932 0.263 0.018
0.068 0.737 0.982
0.855 0.125 0.568
0.041 0.677 0.783
0.737 0.068 0.482
0.771 0.181 0.177
```

Calculated values
Space group: C2/c
ΔE to the lowest computed polymorph: 469 meV/atom
Crystal system: monoclinic
Formation enthalpy at 0 K: -0.295 eV/atom
E: -6.769 eV per atom
Theoretical density: 6.45 Mg/m³
Volume: 1512.3 Å³ per cell

=====

Entry 14:
Compound: Si3Mo3W2
Source: Materials Project
Functional: PBE
Structure: optimized geometry

```
Si3Mo3W2
1.0
0.000 0.000 4.928
-4.843 4.862 2.464
-4.843 -4.862 -2.464
W Mo Si
4 6 6
direct
0.424 0.851 0.699
0.076 0.699 0.851
0.924 0.301 0.149
0.576 0.149 0.301
0.224 0.854 0.302
0.276 0.302 0.854
0.776 0.146 0.698
0.724 0.698 0.146
0.750 0.500 0.500
0.250 0.500 0.500
0.750 0.000 0.000
0.832 0.834 0.498
0.250 0.000 0.000
0.332 0.502 0.166
0.668 0.498 0.834
0.168 0.166 0.502
```

Calculated values
Space group: Ibam
Crystal system: orthorhombic
Formation enthalpy at 0 K: -0.312 eV/atom
E: -9.653 eV per atom
Theoretical density: 10.59 Mg/m³
Volume: 232.1 Å³ per cell

=====

Entry 15:
Compound: InS2
Source: Materials Project
Functional: PBE
Structure: optimized geometry

```
InS2
1.0
6.152 0.000 0.000
0.000 6.152 0.000
0.000 0.000 3.960
S In
4 2
direct
0.194 0.806 0.500
0.694 0.694 0.000
0.306 0.306 0.000
0.806 0.194 0.500
0.500 0.500 0.500
0.000 0.000 0.000
```

Calculated values
Space group: P4_2/mnm
Crystal system: tetragonal
Formation enthalpy at 0 K: -0.358 eV/atom
E: -3.698 eV per atom
Theoretical density: 3.96 Mg/m³
Volume: 149.9 Å³ per cell

=====

Entry 16:
Compound: Ba2Lu2CuPtO8
Source: Materials Project
Functional: PBE
Structure: optimized geometry

```
Ba2Lu2CuPtO8
1.0
5.676 0.000 0.000
0.000 10.345 0.000
0.000 0.000 13.275
O Lu Cu Pt Ba
32 8 4 4 8
direct
0.250 0.314 0.798
0.991 0.442 0.213
0.250 0.610 0.588
0.491 0.942 0.287
0.989 0.858 0.886
0.509 0.442 0.213
0.250 0.890 0.088
0.997 0.367 0.009
0.011 0.358 0.614
0.489 0.142 0.114
0.991 0.058 0.713
0.509 0.058 0.713
0.750 0.686 0.202
0.511 0.642 0.386
0.489 0.358 0.614
0.989 0.642 0.386
0.250 0.186 0.298
0.497 0.867 0.491
0.511 0.858 0.886
0.003 0.633 0.991
0.497 0.633 0.991
0.750 0.110 0.912
0.009 0.558 0.787
0.003 0.867 0.491
0.009 0.942 0.287
0.750 0.814 0.702
0.503 0.133 0.509
0.503 0.367 0.009
0.491 0.558 0.787
0.750 0.390 0.412
0.997 0.133 0.509
0.011 0.142 0.114
0.750 0.513 0.082
0.750 0.987 0.582
0.250 0.487 0.918
0.250 0.187 0.641
0.750 0.687 0.859
0.250 0.313 0.141
0.250 0.013 0.418
0.750 0.813 0.359
0.250 0.734 0.461
0.750 0.234 0.039
0.250 0.766 0.961
0.750 0.266 0.539
0.750 0.968 0.805
0.250 0.032 0.195
0.250 0.468 0.695
0.750 0.532 0.305
0.750 0.593 0.577
0.750 0.315 0.793
0.750 0.185 0.293
0.250 0.685 0.207
0.250 0.093 0.923
0.250 0.407 0.423
0.250 0.815 0.707
0.750 0.907 0.077
```

Calculated values
Space group: Pnma
Crystal system: orthorhombic
Formation enthalpy at 0 K: -2.708 eV/atom
E: -6.790 eV per atom
Theoretical density: 8.62 Mg/m³
Volume: 779.5 Å³ per cell